Crystalline TaN at its relaxed geometry. Source: Materials Project, functional PBE.

Properties
As for the MP2020-corrected energy: -10.633 eV per atom.

Geometry as CIF:
```
data_TaN
_cell_length_a 2.7543
_cell_length_b 2.7543
_cell_length_c 2.7543
_cell_angle_alpha 90.00
_cell_angle_beta 90.00
_cell_angle_gamma 90.00
_space_group_name_H-M_alt 'P m -3 m'
_space_group_IT_number 221
_space_group_name_Hall '-P 4 2 3'
loop_
_atom_site_label
_atom_site_type_symbol
_atom_site_fract_x
_atom_site_fract_y
_atom_site_fract_z
Ta1 Ta 0.0000 0.0000 0.0000
N1 N 0.5000 0.5000 0.5000
```